Here is AgP2H8SN7O2 after structural relaxation from the Materials Project database. Energies are from PBE.

```
84
Lattice="10.365 0.000 0.000 0.000 9.209 0.000 -4.089 0.000 11.291" Properties=species:S:1:pos:R:3 pbc="T T T"
Ag 1.148 1.869 2.340
Ag -0.896 2.735 7.985
Ag 7.173 6.474 3.305
Ag 5.129 7.340 8.951
P 0.819 4.777 3.298
P -1.225 9.036 8.943
P 0.106 5.451 6.244
P 2.150 8.363 0.599
P 4.126 0.846 10.692
P 6.171 3.758 5.046
P 7.502 0.173 2.347
P 5.458 4.432 7.993
H -1.288 0.178 3.955
H -3.333 4.426 9.600
H -2.112 5.616 6.707
H -0.067 8.197 1.062
H 0.687 6.705 1.446
H -1.358 7.109 7.092
H 0.459 6.755 4.406
H -1.586 7.058 10.052
H 2.858 4.809 2.303
H 0.813 9.004 7.949
H 1.235 6.572 7.925
H 3.279 7.241 2.280
H 3.005 5.216 3.961
H 0.961 8.597 9.606
H 2.282 6.208 6.569
H 4.327 7.605 0.924
H 1.950 1.604 10.367
H 3.994 3.001 4.721
H 5.316 0.612 1.684
H 3.271 3.993 7.330
H 2.997 1.968 9.011
H 5.042 2.636 3.366
H 5.463 0.205 3.342
H 3.419 4.400 8.987
H 7.862 2.151 1.239
H 5.818 2.454 6.884
H 7.634 2.100 4.199
H 5.590 2.504 9.844
H 6.344 1.012 10.229
H 8.388 3.593 4.583
H 9.609 4.783 1.690
H 7.565 9.031 7.336
S -1.117 1.737 11.061
S 0.927 2.867 5.416
S 5.349 6.342 5.875
S 7.393 7.472 0.230
N 0.190 5.092 1.904
N -1.854 8.721 7.549
N -1.222 6.062 6.934
N 0.822 7.751 1.289
N -1.499 1.365 9.526
N 0.545 3.239 3.881
N 0.340 5.762 4.616
N -1.705 8.052 10.261
N 1.995 0.783 0.691
N -0.049 3.821 6.336
N 2.413 5.217 3.125
N 0.369 8.596 8.770
N 1.342 6.216 6.979
N 3.387 7.598 1.333
N 2.890 1.611 9.957
N 4.934 2.993 4.312
N 5.908 0.613 2.521
N 3.864 3.992 8.166
N 6.326 5.388 4.955
N 4.281 8.426 10.600
N 7.981 1.157 1.030
N 5.937 3.447 6.675
N 5.731 5.970 7.410
N 7.776 7.843 1.765
N 5.455 1.458 10.001
N 7.499 3.147 4.356
N 8.131 0.488 3.741
N 6.086 4.116 9.387
O 0.557 1.493 5.672
O 2.602 3.111 0.026
O 4.375 1.391 0.059
O 2.331 3.213 5.704
O 3.946 5.996 5.586
O 1.902 7.818 11.232
O 3.675 6.098 11.264
O 5.719 7.716 5.619
```

As for the energy of formation from the pure elements: -0.422 eV/atom.